The following is a r²SCAN calculation of crystalline LuCuSi at its relaxed geometry, from Materials Project.

extended XYZ file:
```
6
Lattice="4.062 0.000 0.000 -2.031 3.518 0.000 0.000 0.000 7.277" Properties=species:S:1:pos:R:3 pbc="T T T"
Lu 0.000 0.000 3.638
Lu 0.000 0.000 0.000
Cu 0.000 2.345 1.819
Cu 2.031 1.173 5.458
Si 2.031 1.173 1.819
Si 0.000 2.345 5.458
```

Values from the calculation:
Calculated density in g/cm³: 8.5
Energy of formation in eV/atom: -0.710
Volume in Å³ per atom: 17.33